! PBE Pr6OsI10, optimized geometry; values from VASP
&SYSTEM
  ibrav = 0, nat = 17, ntyp = 3
/
ATOMIC_SPECIES
Pr 140.91 Pr.upf
Os 190.23 Os.upf
I 126.90 I.upf
ATOMIC_POSITIONS crystal
Pr 0.030 0.225 0.419
Pr 0.117 0.542 0.252
Pr 0.361 0.633 0.673
Pr 0.639 0.367 0.327
Pr 0.883 0.458 0.748
Pr 0.970 0.775 0.581
Os 0.000 0.500 0.500
I 0.086 0.869 0.322
I 0.207 0.238 0.151
I 0.264 0.590 0.961
I 0.354 0.956 0.774
I 0.451 0.316 0.589
I 0.549 0.684 0.411
I 0.646 0.044 0.226
I 0.736 0.410 0.039
I 0.793 0.762 0.849
I 0.914 0.131 0.678
CELL_PARAMETERS angstrom
8.073 0.000 0.000
-2.626 9.688 0.000
-1.314 -3.565 9.439
! space group: P-1 (2)

=====

! PBE TiS2, optimized geometry; values from VASP
&SYSTEM
  ibrav = 0, nat = 6, ntyp = 2
/
ATOMIC_SPECIES
Ti 47.87 Ti.upf
S 32.06 S.upf
ATOMIC_POSITIONS crystal
Ti 0.333 0.667 0.250
Ti 0.667 0.333 0.750
S 0.000 0.000 0.000
S 0.000 0.000 0.500
S 0.333 0.667 0.750
S 0.667 0.333 0.250
CELL_PARAMETERS angstrom
4.620 0.000 0.000
-2.310 4.001 0.000
0.000 0.000 4.979
! size of the total moment: 0.0 Bohr magnetons per cell
! space group: P6_3/mmc (194)

=====

! PBE WBr5, optimized geometry; values from VASP
&SYSTEM
  ibrav = 0, nat = 12, ntyp = 2
/
ATOMIC_SPECIES
W 183.84 W.upf
Br 79.90 Br.upf
ATOMIC_POSITIONS crystal
W 0.102 0.211 0.214
W 0.898 0.789 0.786
Br 0.063 0.813 0.574
Br 0.113 0.632 0.851
Br 0.231 0.178 0.958
Br 0.294 0.013 0.242
Br 0.427 0.563 0.334
Br 0.573 0.437 0.666
Br 0.706 0.987 0.758
Br 0.769 0.822 0.042
Br 0.887 0.368 0.149
Br 0.937 0.187 0.426
CELL_PARAMETERS angstrom
6.894 0.000 0.000
-3.284 6.675 0.000
-0.148 -3.846 9.213
! space group: P-1 (2)
! ΔE to the lowest computed polymorph: 0.0000 eV per atom

=====

! PBE AlAg9Se6, optimized geometry; values from VASP
&SYSTEM
  ibrav = 0, nat = 64, ntyp = 3
/
ATOMIC_SPECIES
Al 26.98 Al.upf
Ag 107.87 Ag.upf
Se 78.96 Se.upf
ATOMIC_POSITIONS crystal
Al 0.008 0.008 0.008
Al 0.492 0.992 0.508
Al 0.508 0.492 0.992
Al 0.992 0.508 0.492
Ag 0.031 0.773 0.269
Ag 0.035 0.146 0.669
Ag 0.070 0.862 0.673
Ag 0.138 0.173 0.430
Ag 0.146 0.669 0.035
Ag 0.169 0.465 0.854
Ag 0.173 0.430 0.138
Ag 0.227 0.769 0.469
Ag 0.231 0.969 0.273
Ag 0.269 0.031 0.773
Ag 0.273 0.231 0.969
Ag 0.327 0.570 0.638
Ag 0.331 0.535 0.354
Ag 0.354 0.331 0.535
Ag 0.362 0.827 0.930
Ag 0.430 0.138 0.173
Ag 0.465 0.854 0.169
Ag 0.469 0.227 0.769
Ag 0.531 0.727 0.731
Ag 0.535 0.354 0.331
Ag 0.570 0.638 0.327
Ag 0.638 0.327 0.570
Ag 0.646 0.831 0.965
Ag 0.669 0.035 0.146
Ag 0.673 0.070 0.862
Ag 0.727 0.731 0.531
Ag 0.731 0.531 0.727
Ag 0.769 0.469 0.227
Ag 0.773 0.269 0.031
Ag 0.827 0.930 0.362
Ag 0.831 0.965 0.646
Ag 0.854 0.169 0.465
Ag 0.862 0.673 0.070
Ag 0.930 0.362 0.827
Ag 0.965 0.646 0.831
Ag 0.969 0.273 0.231
Se 0.019 0.981 0.481
Se 0.102 0.624 0.632
Se 0.124 0.868 0.898
Se 0.130 0.130 0.130
Se 0.132 0.398 0.376
Se 0.238 0.262 0.738
Se 0.262 0.738 0.238
Se 0.368 0.602 0.876
Se 0.370 0.870 0.630
Se 0.376 0.132 0.398
Se 0.398 0.376 0.132
Se 0.481 0.019 0.981
Se 0.519 0.519 0.519
Se 0.602 0.876 0.368
Se 0.624 0.632 0.102
Se 0.630 0.370 0.870
Se 0.632 0.102 0.624
Se 0.738 0.238 0.262
Se 0.762 0.762 0.762
Se 0.868 0.898 0.124
Se 0.870 0.630 0.370
Se 0.876 0.368 0.602
Se 0.898 0.124 0.868
Se 0.981 0.481 0.019
CELL_PARAMETERS angstrom
11.320 0.000 0.000
0.000 11.320 0.000
0.000 0.000 11.320
! space group: P2_13 (198)

=====

Q: Which energy values were calculated for the entries above? A: -4.4829; -5.9177; -3.9912; -3.3523, in eV per atom.
Q: Which energy of formation values were calculated for the entries above? A: -1.46; -0.86; -0.91; -0.39, in eV/atom.